# 1
Here is an optimized crystal structure of Te3Mo2S from Materials Project. Energies are from GGA-PBE.

```
Te3Mo2S
1.0
-2.257 2.279 -1.275
0.830 0.082 3.350
29.666 24.920 -7.961
Te S Mo
6 2 4
direct
0.333 0.667 0.611
0.667 0.333 0.422
0.667 0.333 0.047
0.667 0.333 0.141
0.667 0.333 0.516
0.333 0.667 0.705
0.333 0.667 0.319
0.333 0.667 0.244
0.333 0.667 0.094
0.667 0.333 0.658
0.333 0.667 0.469
0.667 0.333 0.282
```

Formation energy from the elements ... -0.447 eV per atom
Theoretical density ... 4.9 g cm⁻³
VASP energy ... -6.240 eV/atom


# 2
Here is an optimized crystal structure of Te3Mo2S from Materials Project. Energies are from GGA-PBE.

```
Te3Mo2S
1.0
1.732 -2.999 0.000
1.732 2.999 0.000
0.000 0.000 39.226
Te Mo S
6 4 2
direct
0.333 0.667 0.423
0.000 0.000 0.705
0.000 0.000 0.329
0.000 0.000 0.235
0.000 0.000 0.610
0.333 0.667 0.517
0.333 0.667 0.282
0.000 0.000 0.094
0.333 0.667 0.658
0.000 0.000 0.470
0.333 0.667 0.056
0.333 0.667 0.132
```

Formation energy from the elements ... -0.447 eV per atom
Theoretical density ... 4.9 g cm⁻³
VASP energy ... -6.239 eV/atom


# 3
Here is an optimized crystal structure of Te4Mo3S2 from Materials Project. Energies are from GGA-PBE.

```
Te4Mo3S2
1.0
1.712 -2.965 0.000
1.712 2.965 0.000
0.000 0.000 31.593
Te Mo S
4 3 2
direct
0.333 0.667 0.828
0.333 0.667 0.290
0.333 0.667 0.172
0.333 0.667 0.710
0.333 0.667 0.000
0.000 0.000 0.231
0.000 0.000 0.769
0.000 0.000 0.953
0.000 0.000 0.047
```

Formation energy from the elements ... -0.515 eV per atom
Theoretical density ... 4.5 g cm⁻³
VASP energy ... -6.334 eV/atom


# 4
Here is an optimized crystal structure of Te2MoW2S4 from Materials Project. Energies are from GGA-PBE.

```
Te2MoW2S4
1.0
1.651 -2.859 0.000
1.651 2.859 0.000
0.000 0.000 30.544
W S Te Mo
2 4 2 1
direct
0.333 0.667 0.347
0.000 0.000 0.578
0.000 0.000 0.297
0.333 0.667 0.066
0.000 0.000 0.397
0.333 0.667 0.166
0.333 0.667 0.515
0.333 0.667 0.641
0.000 0.000 0.116
```

Distance to the lowest polymorph of the same formula ... 50 meV/atom
Formation energy from the elements ... -0.739 eV per atom
Theoretical density ... 4.9 g cm⁻³
VASP energy ... -7.137 eV/atom


VASP energy of number 2 (Te3Mo2S)? -6.239 eV/atom